Entry from the Materials Project database: a geometry-optimized Li2CuAuF6 structure (PBE).

```
10
Lattice="0.000 4.203 4.203 4.203 0.000 4.203 4.203 4.203 0.000" Properties=species:S:1:pos:R:3 pbc="T T T"
Li 2.102 2.102 2.102
Li 6.305 6.305 6.305
Cu 0.000 0.000 0.000
Au 4.203 4.203 4.203
F 4.203 4.203 1.976
F 4.203 1.976 4.203
F 6.431 4.203 4.203
F 1.976 4.203 4.203
F 4.203 6.431 4.203
F 4.203 4.203 6.431
```

Computed properties:
formation enthalpy at 0 K = -1.85 eV/atom
space-group type = Fm-3m
calculated volume = 148.5 Å³/f.u.
DFT total energy = -0.1411 Ha/atom